Compound: ScV2Ga4
Source: the Materials Project database
Functional: PBE
Structure: optimized geometry

Structure (extended XYZ):
```
7
Lattice="0.0000 0.0000 -5.2041 -3.2537 -3.2537 -2.6020 -3.2537 3.2537 -2.6020" Properties=species:S:1:pos:R:3 pbc="T T T"
Sc 0.0000 0.0000 0.0000
V -3.2537 0.0000 -3.9031
V -3.2537 0.0000 -6.5051
Ga -1.3017 -1.3017 -2.6020
Ga -1.9520 -1.9520 -5.2041
Ga -1.3017 1.3017 -2.6020
Ga -1.9520 1.9520 -5.2041
```

Properties
V, Å³/atom: 15.74
Symmetry: I4/mmm, No. 139
Uncorrected energy, eV per atom: -5.64